(1)
# Y2Te3 | the Materials Project | r2SCAN | relaxed
data_Y2Te3
_chemical_formula_sum 'Y32 Te48'
_symmetry_space_group_name_H-M 'F d d d'
_symmetry_Int_Tables_number 70
_cell_length_a 8.7577
_cell_length_b 12.3468
_cell_length_c 26.2001
_cell_angle_alpha 90.00
_cell_angle_beta 90.00
_cell_angle_gamma 90.00
loop_
_symmetry_equiv_pos_as_xyz
'x,y,z'
'-x,-y,-z'
'-x+1/4,-y+1/4,z'
'x+1/4,y+1/4,-z'
'x,-y+1/4,-z+1/4'
'-x,y+1/4,z+1/4'
'-x+1/4,y,-z+1/4'
'x+1/4,-y,z+1/4'
'x,y+1/2,z+1/2'
'-x,-y+1/2,-z+1/2'
'-x+1/4,-y+3/4,z+1/2'
'x+1/4,y+3/4,-z+1/2'
'x,-y+3/4,-z+3/4'
'-x,y+3/4,z+3/4'
'-x+1/4,y+1/2,-z+3/4'
'x+1/4,-y+1/2,z+3/4'
'x+1/2,y,z+1/2'
'-x+1/2,-y,-z+1/2'
'-x+3/4,-y+1/4,z+1/2'
'x+3/4,y+1/4,-z+1/2'
'x+1/2,-y+1/4,-z+3/4'
'-x+1/2,y+1/4,z+3/4'
'-x+3/4,y,-z+3/4'
'x+3/4,-y,z+3/4'
'x+1/2,y+1/2,z'
'-x+1/2,-y+1/2,-z'
'-x+3/4,-y+3/4,z'
'x+3/4,y+3/4,-z'
'x+1/2,-y+3/4,-z+1/4'
'-x+1/2,y+3/4,z+1/4'
'-x+3/4,y+1/2,-z+1/4'
'x+3/4,-y+1/2,z+1/4'
loop_
_atom_site_label
_atom_site_type_symbol
_atom_site_fract_x
_atom_site_fract_y
_atom_site_fract_z
Y1 Y 0.1250 0.1250 0.0419
Y2 Y 0.1250 0.1250 0.3759
Te1 Te 0.1223 0.3742 0.2075
Te2 Te 0.1244 0.3750 0.3750
# * size of the total moment: 0.00 μB per formula unit
# * ΔH_f (0 K): -1.6972 eV per atom

(2)
# La3Tb | the Materials Project | r2SCAN | relaxed
data_La3Tb
_chemical_formula_sum 'La6 Tb2'
_symmetry_space_group_name_H-M 'I 4/m m m'
_symmetry_Int_Tables_number 139
_symmetry_space_group_name_Hall '-I 4 2'
_cell_length_a 5.2482
_cell_length_b 5.2482
_cell_length_c 10.4652
_cell_angle_alpha 90.00
_cell_angle_beta 90.00
_cell_angle_gamma 90.00
loop_
_atom_site_label
_atom_site_type_symbol
_atom_site_fract_x
_atom_site_fract_y
_atom_site_fract_z
La1 La 0.0000 0.0000 0.0000
La2 La 0.0000 0.5000 0.2500
Tb1 Tb 0.0000 0.0000 0.5000
# * size of the total moment: 0.00 μB per formula unit
# * ΔH_f (0 K): 0.0284 eV per atom

(3)
# Si4P4Os | the Materials Project | r2SCAN | relaxed
data_Si4P4Os
_chemical_formula_sum 'Si4 P4 Os1'
_symmetry_space_group_name_H-M 'P 1'
_symmetry_Int_Tables_number 1
_symmetry_space_group_name_Hall 'P 1'
_cell_length_a 4.9596
_cell_length_b 5.6323
_cell_length_c 6.1856
_cell_angle_alpha 85.64
_cell_angle_beta 68.35
_cell_angle_gamma 70.86
loop_
_atom_site_label
_atom_site_type_symbol
_atom_site_fract_x
_atom_site_fract_y
_atom_site_fract_z
Si1 Si 0.0000 0.0000 0.0000
Si2 Si 0.1260 0.2495 0.4477
Si3 Si 0.4326 0.4312 0.7956
Si4 Si 0.6065 0.6290 0.2555
P1 P 0.1050 0.8829 0.3252
P2 P 0.3837 0.0666 0.6909
P3 P 0.5315 0.2967 0.1310
P4 P 0.9237 0.6712 0.8867
Os1 Os 0.7629 0.6544 0.5667
# * size of the total moment: 0.00 μB per formula unit
# * ΔH_f (0 K): -0.3780 eV per atom

(4)
# CeTa3O9 | the Materials Project | r2SCAN | relaxed
data_CeTa3O9
_chemical_formula_sum 'Ce4 Ta12 O36'
_symmetry_space_group_name_H-M 'C 1 2/m 1'
_symmetry_Int_Tables_number 12
_symmetry_space_group_name_Hall '-C 2y'
_cell_length_a 12.4609
_cell_length_b 7.6456
_cell_length_c 6.5927
_cell_angle_alpha 90.00
_cell_angle_beta 93.61
_cell_angle_gamma 90.00
loop_
_atom_site_label
_atom_site_type_symbol
_atom_site_fract_x
_atom_site_fract_y
_atom_site_fract_z
Ce1 Ce 0.2396 0.0000 0.0476
Ta1 Ta 0.0322 0.2489 0.7623
Ta2 Ta 0.2500 0.2500 0.5000
O1 O 0.0382 0.0000 0.7260
O2 O 0.0671 0.5000 0.7955
O3 O 0.0913 0.2303 0.0657
O4 O 0.0917 0.2826 0.4520
O5 O 0.2058 0.2155 0.7776
O6 O 0.2315 0.0000 0.4250
# * size of the total moment: 1.00 μB per formula unit
# * ΔH_f (0 K): -3.2945 eV per atom

(5)
# Al3Ni2 | the Materials Project | r2SCAN | relaxed
data_Al3Ni2
_chemical_formula_sum 'Al3 Ni2'
_symmetry_space_group_name_H-M 'P -3 m 1'
_symmetry_Int_Tables_number 164
_symmetry_space_group_name_Hall '-P 3 2"'
_cell_length_a 3.9942
_cell_length_b 3.9942
_cell_length_c 4.8809
_cell_angle_alpha 90.00
_cell_angle_beta 90.00
_cell_angle_gamma 120.00
loop_
_atom_site_label
_atom_site_type_symbol
_atom_site_fract_x
_atom_site_fract_y
_atom_site_fract_z
Al1 Al 0.0000 0.0000 0.0000
Al2 Al 0.3333 0.6667 0.6481
Ni1 Ni 0.3333 0.6667 0.1466
# * size of the total moment: 0.00 μB per formula unit
# * ΔH_f (0 K): -0.6442 eV per atom

(6)
# Cu3Ag3P2S8 | the Materials Project | r2SCAN | relaxed
data_Cu3Ag3P2S8
_chemical_formula_sum 'Cu3 Ag3 P2 S8'
_symmetry_space_group_name_H-M 'P 1'
_symmetry_Int_Tables_number 1
_symmetry_space_group_name_Hall 'P 1'
_cell_length_a 6.2605
_cell_length_b 6.3512
_cell_length_c 7.6994
_cell_angle_alpha 89.54
_cell_angle_beta 89.65
_cell_angle_gamma 89.52
loop_
_atom_site_label
_atom_site_type_symbol
_atom_site_fract_x
_atom_site_fract_y
_atom_site_fract_z
Cu1 Cu 0.0000 0.0000 0.0000
Cu2 Cu 0.0013 0.9820 0.4983
Cu3 Cu 0.5106 0.6299 0.4985
Ag1 Ag 0.5095 0.1419 0.2529
Ag2 Ag 0.5176 0.6140 0.9933
Ag3 Ag 0.9942 0.4382 0.7441
P1 P 0.0030 0.4890 0.2541
P2 P 0.4895 0.1158 0.7444
S1 S 0.3286 0.5046 0.2670
S2 S 0.3630 0.9883 0.9683
S3 S 0.3669 0.9589 0.5309
S4 S 0.3993 0.4265 0.7280
S5 S 0.8212 0.0760 0.7480
S6 S 0.8712 0.6422 0.4683
S7 S 0.9093 0.1732 0.2520
S8 S 0.9096 0.6430 0.0297
# * size of the total moment: 0.00 μB per formula unit
# * ΔH_f (0 K): -0.3045 eV per atom

(7)
# Hf3Mn2Ga6 | the Materials Project | r2SCAN | relaxed
data_Hf3Mn2Ga6
_chemical_formula_sum 'Hf6 Mn4 Ga12'
_symmetry_space_group_name_H-M 'P m m n'
_symmetry_Int_Tables_number 59
_cell_length_a 5.3806
_cell_length_b 8.7216
_cell_length_c 7.6714
_cell_angle_alpha 90.00
_cell_angle_beta 90.00
_cell_angle_gamma 90.00
loop_
_symmetry_equiv_pos_as_xyz
'x,y,z'
'-x,-y,-z'
'-x+1/2,-y+1/2,z'
'x+1/2,y+1/2,-z'
'x+1/2,-y,-z'
'-x+1/2,y,z'
'-x,y+1/2,-z'
'x,-y+1/2,z'
loop_
_atom_site_label
_atom_site_type_symbol
_atom_site_fract_x
_atom_site_fract_y
_atom_site_fract_z
Hf1 Hf 0.2500 0.0316 0.1463
Hf2 Hf 0.2500 0.7500 0.7291
Mn1 Mn 0.0000 0.0000 0.5000
Ga1 Ga 0.0100 0.7500 0.0491
Ga2 Ga 0.2500 0.0597 0.7691
Ga3 Ga 0.2500 0.2500 0.4245
Ga4 Ga 0.2500 0.7500 0.3696
# * size of the total moment: 5.60 μB per formula unit
# * ΔH_f (0 K): -0.4840 eV per atom

(8)
# Rb2AgAu3I8 | the Materials Project | r2SCAN | relaxed
data_Rb2AgAu3I8
_chemical_formula_sum 'Rb8 Ag4 Au12 I32'
_symmetry_space_group_name_H-M 'C 1 2/c 1'
_symmetry_Int_Tables_number 15
_symmetry_space_group_name_Hall '-C 2yc'
_cell_length_a 13.5539
_cell_length_b 7.6179
_cell_length_c 21.2899
_cell_angle_alpha 90.00
_cell_angle_beta 101.95
_cell_angle_gamma 90.00
loop_
_atom_site_label
_atom_site_type_symbol
_atom_site_fract_x
_atom_site_fract_y
_atom_site_fract_z
Rb1 Rb 0.2037 0.0290 0.0939
Ag1 Ag 0.0000 0.4845 0.7500
Au1 Au 0.0000 0.5000 0.0000
Au2 Au 0.0952 0.0035 0.8017
I1 I 0.0352 0.2691 0.3558
I2 I 0.0502 0.2242 0.9354
I3 I 0.1710 0.2638 0.7489
I4 I 0.1912 0.4683 0.5632
# * size of the total moment: 0.00 μB per formula unit
# * ΔH_f (0 K): -0.6323 eV per atom

Copy entry 8 word for word.
# Rb2AgAu3I8 | the Materials Project | r2SCAN | relaxed
data_Rb2AgAu3I8
_chemical_formula_sum 'Rb8 Ag4 Au12 I32'
_symmetry_space_group_name_H-M 'C 1 2/c 1'
_symmetry_Int_Tables_number 15
_symmetry_space_group_name_Hall '-C 2yc'
_cell_length_a 13.5539
_cell_length_b 7.6179
_cell_length_c 21.2899
_cell_angle_alpha 90.00
_cell_angle_beta 101.95
_cell_angle_gamma 90.00
loop_
_atom_site_label
_atom_site_type_symbol
_atom_site_fract_x
_atom_site_fract_y
_atom_site_fract_z
Rb1 Rb 0.2037 0.0290 0.0939
Ag1 Ag 0.0000 0.4845 0.7500
Au1 Au 0.0000 0.5000 0.0000
Au2 Au 0.0952 0.0035 0.8017
I1 I 0.0352 0.2691 0.3558
I2 I 0.0502 0.2242 0.9354
I3 I 0.1710 0.2638 0.7489
I4 I 0.1912 0.4683 0.5632
# * size of the total moment: 0.00 μB per formula unit
# * ΔH_f (0 K): -0.6323 eV per atom